1.
Li10Co4O9: optimized geometry, meta-GGA r2SCAN.

Geometry as CIF:
```
data_Li10Co4O9
_chemical_formula_sum 'Li20 Co8 O18'
_space_group_name_H-M_alt 'P 42/n m c'
_space_group_IT_number 137
_cell_length_a 9.565
_cell_length_b 9.565
_cell_length_c 4.595
_cell_angle_alpha 90.00
_cell_angle_beta 90.00
_cell_angle_gamma 90.00
loop_
_space_group_symop_operation_xyz
'x,y,z'
'-x,-y,-z'
'-y+1/2,x,z+1/2'
'y+1/2,-x,-z+1/2'
'-x+1/2,-y+1/2,z'
'x+1/2,y+1/2,-z'
'y,-x+1/2,z+1/2'
'-y,x+1/2,-z+1/2'
'x+1/2,-y,-z'
'-x+1/2,y,z'
'-y,-x,-z+1/2'
'y,x,z+1/2'
'-x,y+1/2,-z'
'x,-y+1/2,z'
'y+1/2,x+1/2,-z+1/2'
'-y+1/2,-x+1/2,z+1/2'
loop_
_atom_site_label
_atom_site_type_symbol
_atom_site_fract_x
_atom_site_fract_y
_atom_site_fract_z
Li1 Li 0.064 0.106 0.049
Li2 Li 0.250 0.250 0.105
Co1 Co 0.102 0.750 0.451
O1 O 0.073 0.573 0.250
O2 O 0.088 0.250 0.340
O3 O 0.250 0.750 0.750
```

Output
DFT formation energy = -167.1 kJ per mole of atoms
Calculated density = 3.5 Mg/m³

---

2.
LiCo2O4: optimized geometry, meta-GGA r2SCAN.

Geometry as CIF:
```
data_LiCo2O4
_chemical_formula_sum 'Li4 Co8 O16'
_space_group_name_H-M_alt 'P b c n'
_space_group_IT_number 60
_space_group_name_Hall '-P 2n 2ab'
_cell_length_a 5.587
_cell_length_b 4.801
_cell_length_c 9.859
_cell_angle_alpha 90.00
_cell_angle_beta 90.00
_cell_angle_gamma 90.00
loop_
_atom_site_label
_atom_site_type_symbol
_atom_site_fract_x
_atom_site_fract_y
_atom_site_fract_z
Li1 Li 0.000 0.155 0.250
Co1 Co 0.125 0.253 0.504
O1 O 0.123 0.408 0.101
O2 O 0.126 0.077 0.903
```

Output
Relative energy among the computed polymorphs = 0.0412 eV/atom
DFT formation energy = -142.9 kJ per mole of atoms
Calculated density = 4.7 Mg/m³

---

3.
Li8CoO6: optimized geometry, meta-GGA r2SCAN.

Geometry as CIF:
```
data_Li8CoO6
_chemical_formula_sum 'Li16 Co2 O12'
_space_group_name_H-M_alt 'P 63 c m'
_space_group_IT_number 185
_space_group_name_Hall 'P 6c -2'
_cell_length_a 5.4569
_cell_length_b 5.4569
_cell_length_c 10.6741
_cell_angle_alpha 90.00
_cell_angle_beta 90.00
_cell_angle_gamma 120.00
loop_
_atom_site_label
_atom_site_type_symbol
_atom_site_fract_x
_atom_site_fract_y
_atom_site_fract_z
Li1 Li 0.0000 0.3111 0.0000
Li2 Li 0.0000 0.3893 0.3600
Li3 Li 0.3333 0.6667 0.1379
Co1 Co 0.0000 0.0000 0.2279
O1 O 0.0000 0.0000 0.4001
O2 O 0.0000 0.3131 0.1812
O3 O 0.3333 0.6667 0.4488
```

Output
DFT formation energy = -183.5 kJ per mole of atoms
Calculated density = 2.5 Mg/m³